1.
# Cs2RuAuF6 PBE-GGA relaxed
data_Cs2RuAuF6
_symmetry_space_group_name_H-M 'P 1'
_symmetry_Int_Tables_number 1
_cell_length_a 6.451
_cell_length_b 6.451
_cell_length_c 6.451
_cell_angle_alpha 60.00
_cell_angle_beta 60.00
_cell_angle_gamma 60.00
loop_
_symmetry_equiv_pos_as_xyz
'x,y,z'
loop_
_atom_site_label
_atom_site_type_symbol
_atom_site_fract_x
_atom_site_fract_y
_atom_site_fract_z
Cs1 Cs 0.750 0.750 0.750
Cs2 Cs 0.250 0.250 0.250
Ru1 Ru 0.000 0.000 0.000
Au1 Au 0.500 0.500 0.500
F1 F 0.776 0.224 0.224
F2 F 0.224 0.224 0.776
F3 F 0.224 0.776 0.776
F4 F 0.224 0.776 0.224
F5 F 0.776 0.224 0.776
F6 F 0.776 0.776 0.224
# total energy after the MP2020 corrections	-4.650	eV/atom
# E	-4.37	eV/atom
# total moment	1.08	Bohr magnetons per cell
# crystal system	cubic
# space-group type	No. 225



2.
# MgCd PBE-GGA relaxed
data_MgCd
_symmetry_space_group_name_H-M 'P 1'
_symmetry_Int_Tables_number 1
_cell_length_a 4.974
_cell_length_b 9.641
_cell_length_c 5.474
_cell_angle_alpha 90.00
_cell_angle_beta 90.00
_cell_angle_gamma 90.00
loop_
_symmetry_equiv_pos_as_xyz
'x,y,z'
loop_
_atom_site_label
_atom_site_type_symbol
_atom_site_fract_x
_atom_site_fract_y
_atom_site_fract_z
Mg1 Mg 0.000 0.169 0.161
Mg2 Mg 0.000 0.331 0.661
Mg3 Mg 0.500 0.500 0.843
Mg4 Mg 0.000 0.669 0.661
Mg5 Mg 0.000 0.831 0.161
Mg6 Mg 0.500 0.000 0.343
Cd1 Cd 0.000 0.500 0.159
Cd2 Cd 0.500 0.333 0.338
Cd3 Cd 0.500 0.167 0.838
Cd4 Cd 0.000 0.000 0.659
Cd5 Cd 0.500 0.833 0.838
Cd6 Cd 0.500 0.667 0.338
# E	-1.34	eV/atom



3.
# Tm2In PBE-GGA relaxed
data_Tm2In
_symmetry_space_group_name_H-M 'P 1'
_symmetry_Int_Tables_number 1
_cell_length_a 5.308
_cell_length_b 5.308
_cell_length_c 6.697
_cell_angle_alpha 90.00
_cell_angle_beta 90.00
_cell_angle_gamma 120.00
loop_
_symmetry_equiv_pos_as_xyz
'x,y,z'
loop_
_atom_site_label
_atom_site_type_symbol
_atom_site_fract_x
_atom_site_fract_y
_atom_site_fract_z
Tm1 Tm 0.000 0.000 0.000
Tm2 Tm 0.667 0.333 0.250
Tm3 Tm 0.333 0.667 0.750
Tm4 Tm 0.000 0.000 0.500
In1 In 0.333 0.667 0.250
In2 In 0.667 0.333 0.750
# E	-4.24	eV/atom
# crystal system	hexagonal
# space-group type	No. 194



4.
# Ti2Sb2O7 PBE-GGA relaxed
data_Ti2Sb2O7
_symmetry_space_group_name_H-M 'P 1'
_symmetry_Int_Tables_number 1
_cell_length_a 5.678
_cell_length_b 7.764
_cell_length_c 13.264
_cell_angle_alpha 82.25
_cell_angle_beta 90.00
_cell_angle_gamma 90.00
loop_
_symmetry_equiv_pos_as_xyz
'x,y,z'
loop_
_atom_site_label
_atom_site_type_symbol
_atom_site_fract_x
_atom_site_fract_y
_atom_site_fract_z
Ti1 Ti 0.242 0.936 0.314
Ti2 Ti 0.755 0.972 0.123
Ti3 Ti 0.745 0.597 0.663
Ti4 Ti 0.265 0.534 0.886
Ti5 Ti 0.765 0.466 0.114
Ti6 Ti 0.245 0.403 0.337
Ti7 Ti 0.255 0.028 0.877
Ti8 Ti 0.742 0.064 0.686
Sb1 Sb 0.721 0.800 0.926
Sb2 Sb 0.245 0.865 0.565
Sb3 Sb 0.249 0.666 0.135
Sb4 Sb 0.666 0.653 0.397
Sb5 Sb 0.166 0.347 0.603
Sb6 Sb 0.749 0.334 0.865
Sb7 Sb 0.745 0.135 0.435
Sb8 Sb 0.221 0.200 0.074
O1 O 0.504 0.970 0.201
O2 O 0.527 0.917 0.414
O3 O 0.713 0.823 0.693
O4 O 0.360 0.775 0.892
O5 O 0.060 0.880 0.435
O6 O 0.102 0.986 0.013
O7 O 0.007 0.902 0.219
O8 O 0.045 0.624 0.605
O9 O 0.990 0.545 0.818
O10 O 0.342 0.666 0.323
O11 O 0.753 0.727 0.084
O12 O 0.563 0.607 0.547
O13 O 0.629 0.486 0.976
O14 O 0.516 0.499 0.781
O15 O 0.016 0.501 0.219
O16 O 0.129 0.514 0.024
O17 O 0.063 0.393 0.453
O18 O 0.253 0.273 0.916
O19 O 0.842 0.334 0.677
O20 O 0.490 0.455 0.182
O21 O 0.545 0.376 0.395
O22 O 0.507 0.098 0.781
O23 O 0.602 0.014 0.987
O24 O 0.560 0.120 0.565
O25 O 0.860 0.225 0.108
O26 O 0.213 0.177 0.307
O27 O 0.027 0.083 0.586
O28 O 0.004 0.030 0.799
# total energy after the MP2020 corrections	-7.966	eV/atom
# E	-7.53	eV/atom
# total moment	0.00	Bohr magnetons per cell
# crystal system	monoclinic
# space-group type	No. 4



5.
# La2AgS2O PBE-GGA relaxed
data_La2AgS2O
_symmetry_space_group_name_H-M 'P 1'
_symmetry_Int_Tables_number 1
_cell_length_a 5.262
_cell_length_b 5.262
_cell_length_c 13.990
_cell_angle_alpha 90.00
_cell_angle_beta 90.00
_cell_angle_gamma 90.00
loop_
_symmetry_equiv_pos_as_xyz
'x,y,z'
loop_
_atom_site_label
_atom_site_type_symbol
_atom_site_fract_x
_atom_site_fract_y
_atom_site_fract_z
La1 La 0.500 0.500 0.653
La2 La 0.500 0.500 0.347
Ag1 Ag 0.500 0.500 0.000
S1 S 0.500 0.500 0.168
S2 S 0.500 0.500 0.832
O1 O 0.500 0.500 0.500
# total energy after the MP2020 corrections	-5.317	eV/atom
# E	-5.03	eV/atom
# total moment	0.07	Bohr magnetons per cell
# crystal system	tetragonal
# space-group type	No. 123



6.
# Ce3CI5 PBE-GGA relaxed
data_Ce3CI5
_symmetry_space_group_name_H-M 'P 1'
_symmetry_Int_Tables_number 1
_cell_length_a 7.890
_cell_length_b 9.733
_cell_length_c 9.778
_cell_angle_alpha 107.55
_cell_angle_beta 96.55
_cell_angle_gamma 104.65
loop_
_symmetry_equiv_pos_as_xyz
'x,y,z'
loop_
_atom_site_label
_atom_site_type_symbol
_atom_site_fract_x
_atom_site_fract_y
_atom_site_fract_z
Ce1 Ce 0.108 0.040 0.778
Ce2 Ce 0.382 0.133 0.180
Ce3 Ce 0.892 0.960 0.222
Ce4 Ce 0.033 0.737 0.925
Ce5 Ce 0.967 0.263 0.075
Ce6 Ce 0.618 0.867 0.820
C1 C 0.911 0.969 0.958
C2 C 0.089 0.031 0.042
I1 I 0.189 0.727 0.636
I2 I 0.089 0.375 0.818
I3 I 0.455 0.806 0.094
I4 I 0.258 0.086 0.465
I5 I 0.545 0.194 0.906
I6 I 0.811 0.273 0.364
I7 I 0.350 0.459 0.274
I8 I 0.911 0.625 0.182
I9 I 0.650 0.541 0.726
I10 I 0.742 0.914 0.535
# total energy after the MP2020 corrections	-5.238	eV/atom
# E	-5.03	eV/atom
# crystal system	triclinic
# space-group type	No. 2



7.
# TbCl3 PBE-GGA relaxed
data_TbCl3
_symmetry_space_group_name_H-M 'P 1'
_symmetry_Int_Tables_number 1
_cell_length_a 4.029
_cell_length_b 7.510
_cell_length_c 7.510
_cell_angle_alpha 120.00
_cell_angle_beta 90.00
_cell_angle_gamma 90.00
loop_
_symmetry_equiv_pos_as_xyz
'x,y,z'
loop_
_atom_site_label
_atom_site_type_symbol
_atom_site_fract_x
_atom_site_fract_y
_atom_site_fract_z
Tb1 Tb 0.250 0.667 0.333
Tb2 Tb 0.750 0.333 0.667
Cl1 Cl 0.750 0.909 0.303
Cl2 Cl 0.250 0.303 0.394
Cl3 Cl 0.750 0.697 0.606
Cl4 Cl 0.750 0.394 0.091
Cl5 Cl 0.250 0.091 0.697
Cl6 Cl 0.250 0.606 0.909
# total energy after the MP2020 corrections	-5.245	eV/atom
# E	-4.78	eV/atom
# crystal system	hexagonal
# space-group type	No. 176



8.
# ZnP2 PBE-GGA relaxed
data_ZnP2
_symmetry_space_group_name_H-M 'P 1'
_symmetry_Int_Tables_number 1
_cell_length_a 7.371
_cell_length_b 7.647
_cell_length_c 8.931
_cell_angle_alpha 76.82
_cell_angle_beta 90.00
_cell_angle_gamma 90.00
loop_
_symmetry_equiv_pos_as_xyz
'x,y,z'
loop_
_atom_site_label
_atom_site_type_symbol
_atom_site_fract_x
_atom_site_fract_y
_atom_site_fract_z
Zn1 Zn 0.914 0.527 0.386
Zn2 Zn 0.586 0.027 0.386
Zn3 Zn 0.086 0.473 0.614
Zn4 Zn 0.260 0.856 0.079
Zn5 Zn 0.414 0.973 0.614
Zn6 Zn 0.240 0.356 0.079
Zn7 Zn 0.760 0.644 0.921
Zn8 Zn 0.740 0.144 0.921
P1 P 0.081 0.975 0.618
P2 P 0.488 0.679 0.766
P3 P 0.518 0.807 0.242
P4 P 0.512 0.321 0.234
P5 P 0.248 0.648 0.918
P6 P 0.581 0.525 0.382
P7 P 0.419 0.475 0.618
P8 P 0.252 0.148 0.918
P9 P 0.919 0.025 0.382
P10 P 0.018 0.693 0.758
P11 P 0.748 0.852 0.082
P12 P 0.752 0.352 0.082
P13 P 0.988 0.821 0.234
P14 P 0.982 0.307 0.242
P15 P 0.012 0.179 0.766
P16 P 0.482 0.193 0.758
# E	-4.09	eV/atom
# total moment	0.00	Bohr magnetons per cell
# crystal system	monoclinic
# space-group type	No. 14



9.
# Mg6AlBiO8 PBE-GGA relaxed
data_Mg6AlBiO8
_symmetry_space_group_name_H-M 'P 1'
_symmetry_Int_Tables_number 1
_cell_length_a 9.486
_cell_length_b 4.410
_cell_length_c 4.410
_cell_angle_alpha 90.00
_cell_angle_beta 90.00
_cell_angle_gamma 90.00
loop_
_symmetry_equiv_pos_as_xyz
'x,y,z'
loop_
_atom_site_label
_atom_site_type_symbol
_atom_site_fract_x
_atom_site_fract_y
_atom_site_fract_z
Mg1 Mg 0.000 0.500 0.500
Mg2 Mg 0.500 0.500 0.500
Mg3 Mg 0.237 0.000 0.500
Mg4 Mg 0.763 0.000 0.500
Mg5 Mg 0.237 0.500 0.000
Mg6 Mg 0.763 0.500 0.000
Al1 Al 0.000 0.000 0.000
Bi1 Bi 0.500 0.000 0.000
O1 O 0.187 0.000 0.000
O2 O 0.813 0.000 0.000
O3 O 0.249 0.500 0.500
O4 O 0.751 0.500 0.500
O5 O 0.000 0.000 0.500
O6 O 0.500 0.000 0.500
O7 O 0.000 0.500 0.000
O8 O 0.500 0.500 0.000
# total energy after the MP2020 corrections	-6.015	eV/atom
# E above lowest polymorph	0	meV/atom
# E	-5.67	eV/atom
# total moment	0.00	Bohr magnetons per cell
# crystal system	tetragonal
# space-group type	No. 123



10.
# Li3C PBE-GGA relaxed
data_Li3C
_symmetry_space_group_name_H-M 'P 1'
_symmetry_Int_Tables_number 1
_cell_length_a 3.733
_cell_length_b 3.733
_cell_length_c 3.733
_cell_angle_alpha 60.00
_cell_angle_beta 60.00
_cell_angle_gamma 60.00
loop_
_symmetry_equiv_pos_as_xyz
'x,y,z'
loop_
_atom_site_label
_atom_site_type_symbol
_atom_site_fract_x
_atom_site_fract_y
_atom_site_fract_z
Li1 Li 0.750 0.750 0.750
Li2 Li 0.250 0.250 0.250
Li3 Li 0.500 0.500 0.500
C1 C 0.000 0.000 0.000
# E	-3.26	eV/atom
# total moment	0.01	Bohr magnetons per cell
# crystal system	cubic
# space-group type	No. 225



11.
# Nb2Co3Si PBE-GGA relaxed
data_Nb2Co3Si
_symmetry_space_group_name_H-M 'P 1'
_symmetry_Int_Tables_number 1
_cell_length_a 4.868
_cell_length_b 4.868
_cell_length_c 7.552
_cell_angle_alpha 90.00
_cell_angle_beta 90.00
_cell_angle_gamma 120.00
loop_
_symmetry_equiv_pos_as_xyz
'x,y,z'
loop_
_atom_site_label
_atom_site_type_symbol
_atom_site_fract_x
_atom_site_fract_y
_atom_site_fract_z
Nb1 Nb 0.667 0.333 0.940
Nb2 Nb 0.333 0.667 0.440
Nb3 Nb 0.667 0.333 0.560
Nb4 Nb 0.333 0.667 0.060
Co1 Co 0.170 0.830 0.750
Co2 Co 0.660 0.830 0.750
Co3 Co 0.830 0.170 0.250
Co4 Co 0.170 0.340 0.750
Co5 Co 0.830 0.660 0.250
Co6 Co 0.340 0.170 0.250
Si1 Si 0.000 0.000 0.500
Si2 Si 0.000 0.000 0.000
# total energy after the MP2020 corrections	-8.267	eV/atom
# E	-8.28	eV/atom
# crystal system	hexagonal
# space-group type	No. 194



12.
# Tm4B3C4 PBE-GGA relaxed
data_Tm4B3C4
_symmetry_space_group_name_H-M 'P 1'
_symmetry_Int_Tables_number 1
_cell_length_a 3.451
_cell_length_b 3.545
_cell_length_c 11.773
_cell_angle_alpha 92.83
_cell_angle_beta 96.17
_cell_angle_gamma 90.19
loop_
_symmetry_equiv_pos_as_xyz
'x,y,z'
loop_
_atom_site_label
_atom_site_type_symbol
_atom_site_fract_x
_atom_site_fract_y
_atom_site_fract_z
Tm1 Tm 0.807 0.024 0.651
Tm2 Tm 0.193 0.976 0.349
Tm3 Tm 0.387 0.555 0.860
Tm4 Tm 0.613 0.445 0.140
B1 B 0.000 0.000 0.000
B2 B 0.268 0.506 0.541
B3 B 0.732 0.494 0.459
C1 C 0.889 0.065 0.879
C2 C 0.111 0.935 0.121
C3 C 0.314 0.527 0.669
C4 C 0.686 0.473 0.331
# E	-7.32	eV/atom
# crystal system	triclinic
# space-group type	No. 2



13.
# Rb2NaSmCl6 PBE-GGA relaxed
data_Rb2NaSmCl6
_symmetry_space_group_name_H-M 'P 1'
_symmetry_Int_Tables_number 1
_cell_length_a 7.716
_cell_length_b 7.716
_cell_length_c 7.716
_cell_angle_alpha 60.00
_cell_angle_beta 60.00
_cell_angle_gamma 60.00
loop_
_symmetry_equiv_pos_as_xyz
'x,y,z'
loop_
_atom_site_label
_atom_site_type_symbol
_atom_site_fract_x
_atom_site_fract_y
_atom_site_fract_z
Rb1 Rb 0.750 0.750 0.750
Rb2 Rb 0.250 0.250 0.250
Na1 Na 0.500 0.500 0.500
Sm1 Sm 0.000 0.000 0.000
Cl1 Cl 0.753 0.247 0.247
Cl2 Cl 0.247 0.247 0.753
Cl3 Cl 0.247 0.753 0.753
Cl4 Cl 0.247 0.753 0.247
Cl5 Cl 0.753 0.247 0.753
Cl6 Cl 0.753 0.753 0.247
# total energy after the MP2020 corrections	-4.356	eV/atom
# E	-3.99	eV/atom
# total moment	0.00	Bohr magnetons per cell
# crystal system	cubic
# space-group type	No. 225



14.
# TiMnN2 PBE-GGA relaxed
data_TiMnN2
_symmetry_space_group_name_H-M 'P 1'
_symmetry_Int_Tables_number 1
_cell_length_a 5.996
_cell_length_b 7.107
_cell_length_c 4.124
_cell_angle_alpha 90.00
_cell_angle_beta 90.00
_cell_angle_gamma 90.00
loop_
_symmetry_equiv_pos_as_xyz
'x,y,z'
loop_
_atom_site_label
_atom_site_type_symbol
_atom_site_fract_x
_atom_site_fract_y
_atom_site_fract_z
Ti1 Ti 0.590 0.374 0.935
Ti2 Ti 0.410 0.626 0.435
Ti3 Ti 0.910 0.874 0.435
Ti4 Ti 0.090 0.126 0.935
Mn1 Mn 0.571 0.872 0.935
Mn2 Mn 0.429 0.128 0.435
Mn3 Mn 0.929 0.372 0.435
Mn4 Mn 0.071 0.628 0.935
N1 N 0.582 0.383 0.435
N2 N 0.418 0.617 0.935
N3 N 0.918 0.883 0.935
N4 N 0.082 0.117 0.435
N5 N 0.576 0.868 0.435
N6 N 0.424 0.132 0.935
N7 N 0.924 0.368 0.935
N8 N 0.076 0.632 0.435
# total energy after the MP2020 corrections	-9.558	eV/atom
# E	-9.38	eV/atom
# total moment	13.20	Bohr magnetons per cell
# crystal system	orthorhombic
# space-group type	No. 62